Entry 1:
The following is a DFT calculation (PBE-GGA) of an optimized crystal structure of Er2PdAu.

POSCAR file:
```
Er2PdAu
1.0
0.000 3.528 3.528
3.528 0.000 3.528
3.528 3.528 0.000
Er Pd Au
2 1 1
direct
0.250 0.250 0.250
0.750 0.750 0.750
0.000 0.000 0.000
0.500 0.500 0.500
```

SG ... Fm-3m (225)
Formation energy from the elements ... -0.902 eV per atom

***

Entry 2:
The following is a DFT calculation (PBE-GGA) of an optimized crystal structure of Er2RuAu.

POSCAR file:
```
Er2RuAu
1.0
0.000 3.474 3.474
3.474 0.000 3.474
3.474 3.474 0.000
Er Ru Au
2 1 1
direct
0.250 0.250 0.250
0.750 0.750 0.750
0.000 0.000 0.000
0.500 0.500 0.500
```

SG ... Fm-3m (225)
Formation energy from the elements ... -0.630 eV per atom

***

Entry 3:
The following is a DFT calculation (PBE-GGA) of an optimized crystal structure of Er5SbAu2.

POSCAR file:
```
Er5SbAu2
1.0
-4.023 4.023 6.467
4.023 -4.023 6.467
4.023 4.023 -6.467
Er Sb Au
10 2 4
direct
0.000 0.000 0.000
0.013 0.513 0.813
0.200 0.013 0.500
0.300 0.800 0.813
0.487 0.300 0.500
0.500 0.500 0.000
0.513 0.700 0.500
0.700 0.200 0.187
0.800 0.987 0.500
0.987 0.487 0.187
0.250 0.250 0.000
0.750 0.750 0.000
0.136 0.364 0.500
0.364 0.864 0.227
0.636 0.136 0.773
0.864 0.636 0.500
```

SG ... I4/mcm (140)
Formation energy from the elements ... -0.766 eV per atom
Magnetic moment ... 0.000 μB/atom

***

Entry 4:
The following is a DFT calculation (PBE-GGA) of an optimized crystal structure of Er3Sb4Au3.

POSCAR file:
```
Er3Sb4Au3
1.0
-4.954 4.954 4.954
4.954 -4.954 4.954
4.954 4.954 -4.954
Er Sb Au
6 8 6
direct
0.125 0.875 0.250
0.250 0.125 0.875
0.375 0.625 0.750
0.625 0.750 0.375
0.750 0.375 0.625
0.875 0.250 0.125
0.000 0.176 0.500
0.000 0.676 0.500
0.176 0.500 0.000
0.324 0.324 0.324
0.500 0.000 0.176
0.500 0.000 0.676
0.676 0.500 0.000
0.824 0.824 0.824
0.125 0.750 0.875
0.250 0.625 0.375
0.375 0.250 0.625
0.625 0.375 0.250
0.750 0.875 0.125
0.875 0.125 0.750
```

SG ... I-43d (220)
Formation energy from the elements ... -0.778 eV per atom
Magnetic moment ... 0.000 μB/atom

***

Entry 5:
The following is a DFT calculation (PBE-GGA) of an optimized crystal structure of ErSi2Au2.

POSCAR file:
```
ErSi2Au2
1.0
-2.129 2.129 5.125
2.129 -2.129 5.125
2.129 2.129 -5.125
Er Si Au
1 2 2
direct
0.000 0.000 0.000
0.389 0.389 0.000
0.611 0.611 0.000
0.250 0.750 0.500
0.750 0.250 0.500
```

SG ... I4/mmm (139)
Formation energy from the elements ... -0.520 eV per atom

***

Entry 6:
The following is a DFT calculation (PBE-GGA) of an optimized crystal structure of Er2ZnAu.

POSCAR file:
```
Er2ZnAu
1.0
0.000 3.558 3.558
3.558 0.000 3.558
3.558 3.558 0.000
Er Zn Au
2 1 1
direct
0.250 0.250 0.250
0.750 0.750 0.750
0.000 0.000 0.000
0.500 0.500 0.500
```

SG ... Fm-3m (225)
Formation energy from the elements ... -0.617 eV per atom

***

Entry 7:
The following is a DFT calculation (PBE-GGA) of an optimized crystal structure of Eu3Au.

POSCAR file:
```
Eu3Au
1.0
8.049 0.000 0.000
0.000 10.216 0.000
0.000 0.000 6.991
Eu Au
12 4
direct
0.035 0.250 0.142
0.176 0.063 0.663
0.176 0.437 0.663
0.324 0.563 0.163
0.324 0.937 0.163
0.465 0.750 0.642
0.535 0.250 0.358
0.676 0.063 0.837
0.676 0.437 0.837
0.824 0.563 0.337
0.824 0.937 0.337
0.965 0.750 0.858
0.121 0.750 0.445
0.379 0.250 0.945
0.621 0.750 0.055
0.879 0.250 0.555
```

SG ... Pnma (62)
Formation energy from the elements ... -0.474 eV per atom

***

Entry 8:
The following is a DFT calculation (PBE-GGA) of an optimized crystal structure of EuAu.

POSCAR file:
```
EuAu
1.0
7.743 0.000 0.000
0.000 4.762 0.000
0.000 0.000 6.043
Eu Au
4 4
direct
0.184 0.250 0.143
0.316 0.750 0.643
0.684 0.250 0.357
0.816 0.750 0.857
0.040 0.250 0.648
0.460 0.750 0.148
0.540 0.250 0.852
0.960 0.750 0.352
```

SG ... Pnma (62)
Formation energy from the elements ... -0.821 eV per atom